HfMg30BO31: relaxed, PBE-GGA.

Lattice parameters (Å, degrees): 8.5168 8.6051 8.6648 90.00 90.00 90.00
Sites, in units of the cell vectors:
Hf 0.9914 0.0000 0.5000
Mg 0.9921 0.5000 0.0000
Mg 0.9970 0.5000 0.5000
Mg 0.4920 0.0000 0.0000
Mg 0.5011 0.0000 0.5000
Mg 0.4994 0.5000 0.0000
Mg 0.4989 0.5000 0.5000
Mg 0.9979 0.2481 0.2339
Mg 0.9979 0.2481 0.7661
Mg 0.9979 0.7519 0.2339
Mg 0.9979 0.7519 0.7661
Mg 0.4970 0.2502 0.2472
Mg 0.4970 0.2502 0.7528
Mg 0.4970 0.7498 0.2472
Mg 0.4970 0.7498 0.7528
Mg 0.2504 0.0000 0.2555
Mg 0.2504 0.0000 0.7445
Mg 0.2466 0.5000 0.2512
Mg 0.2466 0.5000 0.7488
Mg 0.7460 0.0000 0.2340
Mg 0.7460 0.0000 0.7660
Mg 0.7483 0.5000 0.2467
Mg 0.7483 0.5000 0.7533
Mg 0.2434 0.2616 0.0000
Mg 0.2521 0.2586 0.5000
Mg 0.2434 0.7384 0.0000
Mg 0.2521 0.7414 0.5000
Mg 0.7499 0.2450 0.0000
Mg 0.7422 0.2567 0.5000
Mg 0.7499 0.7550 0.0000
Mg 0.7422 0.7433 0.5000
B 0.2158 0.0000 0.0000
O 0.2432 0.0000 0.5000
O 0.2500 0.5000 0.0000
O 0.2475 0.5000 0.5000
O 0.7272 0.0000 0.0000
O 0.7486 0.0000 0.5000
O 0.7428 0.5000 0.0000
O 0.7482 0.5000 0.5000
O 0.2465 0.2531 0.2564
O 0.2465 0.2531 0.7436
O 0.2465 0.7469 0.2564
O 0.2465 0.7469 0.7436
O 0.7477 0.2484 0.2511
O 0.7477 0.2484 0.7489
O 0.7477 0.7516 0.2511
O 0.7477 0.7516 0.7489
O 0.9937 0.0000 0.2662
O 0.9937 0.0000 0.7338
O 0.9968 0.5000 0.2559
O 0.9968 0.5000 0.7441
O 0.4971 0.0000 0.2573
O 0.4971 0.0000 0.7427
O 0.4980 0.5000 0.2525
O 0.4980 0.5000 0.7475
O 0.9940 0.2707 0.0000
O 0.9963 0.2448 0.5000
O 0.9940 0.7293 0.0000
O 0.9963 0.7552 0.5000
O 0.4961 0.2541 0.0000
O 0.4979 0.2495 0.5000
O 0.4961 0.7459 0.0000
O 0.4979 0.7505 0.5000

Computed properties:
DFT formation energy = -2.89 eV per atom
space group = Pmm2
excess energy over the best structure of this formula in the dataset = 0 meV/atom
size of the total moment = 3.01 μB per formula unit
MP2020-corrected energy = -6.3558 eV/atom